The following is a PBE calculation of a geometry-optimized Ce3Dy2O9 structure, from Materials Project.

Geometry as extended XYZ:
```
14
Lattice="8.030 6.657 9.166 3.834 10.110 8.711 -7.206 -9.662 -6.895" Properties=species:S:1:pos:R:3 pbc="T T T"
Ce 0.084 2.725 3.575
Ce 2.476 6.107 7.180
Ce 3.378 2.689 5.605
Dy 5.686 5.951 9.083
Dy 1.070 -0.572 2.128
O 7.174 10.139 10.811
O 2.318 3.275 3.492
O 9.547 13.492 14.385
O 4.690 6.628 7.067
O 10.778 15.232 16.241
O 5.932 8.384 8.939
O 1.086 1.535 1.637
O 8.347 11.796 12.578
O 3.517 4.971 5.300
```

Results
DFT formation energy: -3891 meV/atom
total magnetic moment: 0.0 μB/cell
E: -8.56 eV/atom
space group: No. 119